[1]
An optimized crystal structure of KVH4O7, computed with PBE+U.

```
26
Lattice="6.576 0.000 0.000 0.727 7.688 0.000 3.115 1.858 6.849" Properties=species:S:1:pos:R:3 pbc="T T T"
K 0.000 0.000 0.000
K 2.877 3.962 2.995
V 6.364 3.468 6.269
V 6.278 1.479 3.854
H 3.665 6.150 6.696
H 3.231 7.733 3.632
H 4.861 6.000 5.794
H 4.009 7.626 2.185
H 5.176 7.223 3.610
H 4.372 5.594 0.518
H 6.587 6.635 4.468
H 4.709 4.058 0.474
O 4.166 6.645 6.019
O 2.092 2.418 0.251
O 3.896 7.213 3.091
O 4.519 2.047 4.370
O 6.676 9.310 6.573
O 5.456 3.174 4.445
O 3.872 0.271 0.638
O 4.608 4.835 1.084
O 6.239 7.309 3.849
O 7.269 4.754 5.172
O 7.998 4.440 6.410
O 6.429 1.658 2.248
O 7.910 2.129 4.586
O 8.581 8.356 4.565
```

crystal system: triclinic
total magnetic moment: 0.000 μB per atom
ΔH_f (0 K): -19.4 eV per formula unit
distance to the lowest polymorph of the same formula: 33 meV per atom
calculated total energy: -71.34 eV/f.u.


[2]
An optimized crystal structure of KV5ZnH16O22, computed with PBE+U.

```
90
Lattice="8.464 0.000 0.000 2.167 10.882 0.000 3.097 4.659 11.504" Properties=species:S:1:pos:R:3 pbc="T T T"
K 3.728 5.704 5.500
K 9.999 9.837 6.004
V 5.564 6.080 8.987
V 4.887 10.589 0.079
V 5.036 8.432 2.336
V 3.682 2.781 0.407
V 6.056 11.761 2.804
V 7.671 3.780 8.700
V 10.045 12.760 11.097
V 8.691 7.110 9.168
V 8.841 4.952 11.425
V 8.164 9.461 2.517
Zn 5.496 11.486 9.453
Zn 8.232 4.055 2.051
H 1.600 5.633 2.235
H 2.315 3.451 7.107
H 3.315 6.895 8.395
H 2.183 3.625 3.754
H 2.646 2.871 6.759
H 4.665 9.078 10.248
H 4.491 7.148 11.133
H 3.947 4.192 9.961
H 5.973 13.305 11.089
H 5.230 9.972 4.322
H 5.799 9.762 6.171
H 7.641 13.360 9.909
H 6.186 9.334 5.675
H 7.634 11.172 11.064
H 6.562 8.258 7.952
H 7.432 9.706 10.465
H 6.295 5.835 1.040
H 7.165 7.283 3.552
H 6.093 4.370 0.440
H 7.541 6.207 5.830
H 6.087 2.181 1.595
H 7.929 5.779 5.333
H 8.498 5.569 7.182
H 7.755 2.236 0.416
H 9.780 11.349 1.543
H 9.237 8.393 0.371
H 9.062 6.463 1.256
H 11.082 12.670 4.746
H 11.544 11.916 7.750
H 10.412 8.647 3.109
H 11.412 12.090 4.397
H 12.127 9.908 9.269
O 1.820 4.542 3.866
O 4.250 9.967 10.058
O 4.899 11.214 7.583
O 4.196 6.889 7.968
O 5.879 13.253 10.116
O 4.433 5.005 10.286
O 5.247 7.522 10.630
O 3.968 9.455 1.022
O 4.012 7.462 3.189
O 2.732 1.292 1.220
O 4.942 10.174 3.407
O 3.457 2.083 3.829
O 3.383 3.999 1.425
O 7.212 10.671 10.329
O 7.283 12.186 7.788
O 6.087 4.755 8.014
O 5.453 2.744 6.067
O 6.897 7.401 8.270
O 8.547 13.764 10.122
O 7.113 5.473 10.419
O 5.784 7.406 0.782
O 5.840 4.284 4.279
O 7.887 11.257 7.225
O 7.943 8.135 10.722
O 6.614 10.068 1.085
O 5.181 1.778 1.382
O 6.831 8.140 3.234
O 8.274 12.797 5.437
O 7.640 10.787 3.490
O 6.444 3.356 3.716
O 6.515 4.870 1.175
O 10.344 11.542 10.079
O 10.270 13.458 7.675
O 8.785 5.367 8.097
O 10.995 14.249 10.284
O 9.715 8.079 8.315
O 9.760 6.086 10.482
O 8.480 8.019 0.874
O 9.294 10.537 1.218
O 7.849 2.289 1.389
O 9.531 8.652 3.536
O 8.829 4.327 3.921
O 9.477 5.574 1.446
O 11.907 10.999 7.638
```

crystal system: triclinic
total magnetic moment: 0.111 μB per atom
ΔH_f (0 K): -66.2 eV per formula unit
distance to the lowest polymorph of the same formula: 260 meV per atom
calculated total energy: -253.56 eV/f.u.


[3]
An optimized crystal structure of KV5ZnH16O22, computed with PBE+U.

```
90
Lattice="8.824 0.000 0.000 3.533 10.357 0.000 2.885 4.163 10.106" Properties=species:S:1:pos:R:3 pbc="T T T"
K 2.565 1.802 2.279
K 12.676 12.717 7.827
V 3.386 4.560 5.598
V 4.489 6.160 8.117
V 3.682 5.787 2.772
V 4.828 7.386 5.275
V 5.040 8.632 2.453
V 10.201 5.887 7.653
V 10.413 7.134 4.831
V 11.559 8.733 7.334
V 10.752 8.360 1.989
V 11.855 9.959 4.508
Zn 7.261 10.862 8.003
Zn 7.979 3.658 2.103
H 5.565 10.340 10.096
H 5.232 9.321 8.891
H 6.709 13.023 9.654
H 5.323 10.368 6.170
H 7.105 13.592 8.209
H 6.335 11.462 5.581
H 6.999 8.119 7.204
H 5.595 6.470 0.302
H 7.501 9.650 4.216
H 9.691 13.869 8.627
H 8.649 11.237 5.832
H 5.536 3.201 3.105
H 9.323 11.500 9.370
H 6.426 4.156 6.315
H 10.227 13.324 9.972
H 6.722 6.070 2.547
H 8.519 8.450 7.559
H 5.014 1.195 0.134
H 8.815 10.363 3.791
H 5.918 3.019 0.735
H 9.704 11.318 7.001
H 6.591 3.282 4.274
H 5.550 0.651 1.479
H 7.740 4.869 5.890
H 9.645 8.049 9.804
H 8.242 6.401 2.902
H 8.905 3.058 4.525
H 8.135 0.927 1.897
H 9.918 4.152 3.936
H 8.532 1.496 0.452
H 10.009 5.199 1.215
H 9.676 4.179 0.010
O 4.019 8.021 8.468
O 3.339 7.758 3.844
O 4.183 9.121 5.955
O 3.593 8.847 1.302
O 4.526 10.129 3.461
O 5.635 10.199 9.111
O 6.663 12.846 8.678
O 5.875 11.174 6.396
O 3.585 3.079 4.927
O 4.552 4.591 7.061
O 4.697 5.637 4.526
O 3.925 4.260 2.221
O 5.515 5.799 9.332
O 5.696 6.963 6.736
O 5.090 6.746 2.057
O 5.964 8.068 4.167
O 6.307 9.198 1.582
O 7.640 8.855 7.371
O 8.750 10.694 9.459
O 7.927 10.534 4.177
O 8.808 11.617 6.732
O 10.178 13.113 9.017
O 5.062 1.406 1.089
O 6.433 2.903 3.374
O 7.313 3.986 5.929
O 6.490 3.825 0.647
O 7.600 5.665 2.734
O 8.934 5.321 8.524
O 9.276 6.451 5.939
O 10.151 7.774 8.049
O 9.545 7.557 3.370
O 9.726 8.720 0.773
O 11.315 10.259 7.885
O 10.543 8.882 5.580
O 10.688 9.929 3.045
O 11.656 11.441 5.179
O 9.365 3.345 3.710
O 8.578 1.674 1.428
O 9.606 4.321 0.995
O 10.715 4.390 6.645
O 11.647 5.673 8.804
O 11.058 5.398 4.151
O 11.902 6.762 6.262
O 11.221 6.498 1.637
```

crystal system: triclinic
total magnetic moment: 0.000 μB per atom
ΔH_f (0 K): -77.9 eV per formula unit
distance to the lowest polymorph of the same formula: 0 meV per atom
calculated total energy: -265.25 eV/f.u.


[4]
An optimized crystal structure of LaP2H2W3O6, computed with PBE+U.

```
56
Lattice="10.274 0.000 0.000 0.000 7.268 0.000 -1.029 0.000 13.781" Properties=species:S:1:pos:R:3 pbc="T T T"
La -0.025 1.802 4.448
La -0.540 1.831 11.338
La 9.785 5.436 2.443
La 9.270 5.465 9.333
P -0.243 5.364 5.695
P -0.758 5.537 12.585
P 2.826 3.970 3.236
P 2.311 6.932 10.126
P 6.934 0.336 3.654
P 6.419 3.298 10.545
P 10.003 1.730 1.195
P 9.488 1.903 8.085
H 1.095 5.126 6.116
H 0.580 5.776 13.006
H 2.832 0.343 8.997
H 3.346 3.291 2.107
H 5.898 3.977 11.673
H 6.413 6.925 4.783
H 8.664 1.492 0.774
H 8.150 2.142 7.665
W 3.300 4.098 9.490
W 3.815 6.803 2.600
W 3.848 0.605 5.615
W 3.333 3.029 12.505
W 3.870 4.802 6.277
W 3.355 6.100 13.167
W 5.890 1.168 0.613
W 5.375 2.466 7.503
W 5.912 4.239 1.275
W 5.397 6.663 8.165
W 5.430 0.464 11.181
W 5.945 3.169 4.290
O -0.723 4.266 11.693
O -0.209 6.635 4.803
O 0.147 0.573 2.153
O -0.368 3.061 9.043
O 0.063 1.797 6.824
O -0.451 1.837 13.714
O 1.434 0.589 10.941
O 1.949 3.045 4.051
O 2.107 5.260 2.727
O 1.592 5.641 9.617
O 4.084 4.422 4.078
O 3.569 6.479 10.968
O 5.676 0.789 2.812
O 5.161 2.845 9.702
O 7.653 1.627 4.163
O 7.138 2.007 11.054
O 7.296 4.223 9.730
O 7.811 6.679 2.840
O 9.696 5.431 0.066
O 9.182 5.471 6.957
O 9.613 4.207 4.737
O 9.098 6.695 11.628
O 9.454 0.632 8.978
O 9.968 3.002 2.088
```

crystal system: monoclinic
total magnetic moment: 0.911 μB per atom
ΔH_f (0 K): -13.6 eV per formula unit
calculated total energy: -87.28 eV/f.u.